Entry 1:
Below is a relaxed structure of FeBi25O39, with properties calculated at the PBE with a Hubbard U level.

Lattice parameters (Å, degrees): 10.331 10.331 10.331 90.16 90.16 90.16
Fractional coordinates of all 65 atoms:
O: 0.011 0.630 0.747
O: 0.251 0.488 0.865
O: 0.132 0.745 0.490
O: 0.745 0.490 0.132
O: 0.308 0.308 0.308
O: 0.488 0.865 0.251
O: 0.250 0.014 0.366
O: 0.490 0.132 0.745
O: 0.608 0.608 0.608
O: 0.630 0.747 0.011
O: 0.748 0.510 0.868
O: 0.809 0.809 0.809
O: 0.748 0.990 0.370
O: 0.510 0.129 0.250
O: 0.868 0.748 0.510
O: 0.251 0.987 0.630
O: 0.250 0.510 0.129
O: 0.392 0.607 0.391
O: 0.129 0.250 0.510
O: 0.510 0.868 0.748
O: 0.366 0.250 0.014
O: 0.747 0.011 0.630
O: 0.308 0.689 0.692
O: 0.987 0.630 0.251
O: 0.370 0.748 0.990
O: 0.014 0.366 0.250
O: 0.185 0.815 0.187
O: 0.104 0.884 0.889
O: 0.689 0.692 0.308
O: 0.692 0.308 0.689
O: 0.865 0.251 0.488
O: 0.187 0.185 0.815
O: 0.990 0.370 0.748
O: 0.630 0.251 0.987
O: 0.391 0.392 0.607
O: 0.884 0.889 0.104
O: 0.889 0.104 0.884
O: 0.815 0.187 0.185
O: 0.607 0.391 0.392
Bi: 0.323 0.186 0.488
Bi: 0.671 0.182 0.512
Bi: 0.326 0.011 0.818
Bi: 0.686 0.013 0.177
Bi: 0.177 0.686 0.013
Bi: 0.013 0.177 0.686
Bi: 0.488 0.323 0.186
Bi: 0.676 0.815 0.490
Bi: 0.325 0.813 0.514
Bi: 0.823 0.684 0.988
Bi: 0.182 0.512 0.671
Bi: 0.017 0.017 0.017
Bi: 0.684 0.988 0.823
Bi: 0.011 0.818 0.326
Bi: 0.186 0.488 0.323
Bi: 0.818 0.326 0.011
Bi: 0.514 0.325 0.813
Bi: 0.988 0.823 0.684
Bi: 0.183 0.332 0.984
Bi: 0.512 0.671 0.182
Bi: 0.984 0.183 0.332
Bi: 0.813 0.514 0.325
Bi: 0.815 0.490 0.676
Bi: 0.332 0.984 0.183
Bi: 0.490 0.676 0.815
Fe: 0.500 0.500 0.500

- symmetry = No. 146

Entry 2:
Below is a relaxed structure of Fe10Bi5O24, with properties calculated at the PBE with a Hubbard U level.

Lattice parameters (Å, degrees): 10.867 10.867 10.867 108.97 108.97 110.48
Fractional coordinates of all 78 atoms:
O: 0.696 0.140 0.651
O: 0.955 0.510 0.651
O: 0.182 0.106 0.635
O: 0.044 0.108 0.833
O: 0.201 0.515 0.255
O: 0.758 0.032 0.331
O: 0.054 0.740 0.255
O: 0.396 0.030 0.080
O: 0.049 0.804 0.814
O: 0.492 0.323 0.774
O: 0.789 0.725 0.833
O: 0.765 0.010 0.814
O: 0.472 0.547 0.365
O: 0.968 0.242 0.669
O: 0.760 0.610 0.056
O: 0.677 0.508 0.226
O: 0.390 0.240 0.944
O: 0.282 0.450 0.774
O: 0.453 0.528 0.635
O: 0.950 0.316 0.920
O: 0.700 0.427 0.669
O: 0.566 0.146 0.867
O: 0.280 0.700 0.133
O: 0.068 0.203 0.425
O: 0.356 0.222 0.425
O: 0.550 0.718 0.226
O: 0.485 0.799 0.745
O: 0.684 0.050 0.080
O: 0.490 0.045 0.349
O: 0.295 0.446 0.056
O: 0.275 0.211 0.167
O: 0.554 0.705 0.944
O: 0.260 0.946 0.745
O: 0.970 0.604 0.920
O: 0.196 0.951 0.186
O: 0.461 0.794 0.436
O: 0.894 0.818 0.365
O: 0.778 0.644 0.575
O: 0.860 0.304 0.349
O: 0.206 0.539 0.564
O: 0.975 0.642 0.436
O: 0.797 0.932 0.575
O: 0.573 0.300 0.331
O: 0.990 0.235 0.186
O: 0.300 0.720 0.867
O: 0.854 0.434 0.133
O: 0.358 0.025 0.564
O: 0.892 0.956 0.167
Fe: 0.125 0.249 0.624
Fe: 0.012 0.512 0.500
Fe: 0.372 0.124 0.749
Fe: 0.874 0.626 0.748
Fe: 0.377 0.624 0.749
Fe: 0.238 0.238 0.000
Fe: 0.873 0.122 0.748
Fe: 0.252 0.875 0.877
Fe: 0.499 0.375 0.624
Fe: 0.878 0.127 0.252
Fe: 0.876 0.628 0.251
Fe: 0.762 0.762 0.000
Fe: 0.488 0.988 0.500
Fe: 0.125 0.748 0.123
Fe: 0.751 0.875 0.376
Fe: 0.625 0.501 0.376
Fe: 0.376 0.623 0.251
Fe: 0.374 0.126 0.252
Fe: 0.625 0.002 0.877
Fe: 0.998 0.375 0.123
Bi: 0.502 0.875 0.127
Bi: 0.750 0.250 0.500
Bi: 0.500 0.500 0.000
Bi: 0.625 0.252 0.127
Bi: 0.125 0.498 0.873
Bi: 0.005 0.875 0.630
Bi: 0.245 0.375 0.370
Bi: 0.625 0.755 0.630
Bi: 0.125 0.995 0.370
Bi: 0.748 0.375 0.873

- symmetry = No. 98

Entry 3:
Below is a relaxed structure of FeBi2PO8, with properties calculated at the PBE with a Hubbard U level.

Lattice parameters (Å, degrees): 6.552 6.552 9.490 95.55 106.61 116.49
Fractional coordinates of all 24 atoms:
O: 0.122 0.385 0.895
O: 0.539 0.816 0.016
O: 0.010 0.772 0.395
O: 0.700 0.477 0.516
O: 0.923 0.944 0.767
O: 0.677 0.156 0.733
O: 0.323 0.844 0.267
O: 0.077 0.056 0.233
O: 0.810 0.265 0.317
O: 0.447 0.492 0.183
O: 0.553 0.508 0.817
O: 0.461 0.184 0.984
O: 0.878 0.615 0.105
O: 0.990 0.228 0.605
O: 0.300 0.523 0.484
O: 0.190 0.735 0.683
Bi: 0.171 0.801 0.904
Bi: 0.603 0.733 0.404
Bi: 0.397 0.267 0.596
Bi: 0.829 0.199 0.096
P: 0.926 0.176 0.750
P: 0.074 0.824 0.250
Fe: 0.500 0.500 0.000
Fe: 0.000 0.500 0.500

- symmetry = No. 15

Entry 4:
Below is a relaxed structure of Sr4Fe4Bi5PbO18, with properties calculated at the PBE with a Hubbard U level.

Lattice parameters (Å, degrees): 15.878 15.878 5.472 90.00 90.00 160.15
Fractional coordinates of all 32 atoms:
Fe: 0.437 0.563 0.000
Fe: 0.066 0.934 0.500
Fe: 0.563 0.437 0.000
Fe: 0.938 0.062 0.500
O: 0.704 0.296 0.500
O: 0.811 0.685 0.249
O: 0.637 0.363 0.000
O: 0.297 0.703 0.500
O: 0.001 0.999 0.500
O: 0.811 0.685 0.751
O: 0.862 0.138 0.500
O: 0.185 0.314 0.751
O: 0.795 0.205 0.000
O: 0.204 0.796 0.000
O: 0.132 0.868 0.500
O: 0.500 0.500 0.000
O: 0.315 0.189 0.751
O: 0.686 0.815 0.249
O: 0.686 0.815 0.751
O: 0.363 0.637 0.000
O: 0.185 0.314 0.249
O: 0.315 0.189 0.249
Sr: 0.122 0.878 0.000
Sr: 0.879 0.121 0.000
Sr: 0.622 0.378 0.500
Sr: 0.380 0.620 0.500
Pb: 0.207 0.793 0.500
Bi: 0.503 0.497 0.500
Bi: 0.794 0.206 0.500
Bi: 0.707 0.293 0.000
Bi: 0.001 0.999 0.000
Bi: 0.294 0.706 0.000

- symmetry = No. 38

Entry 5:
Below is a relaxed structure of Sr4Fe6Bi7PbO24, with properties calculated at the PBE with a Hubbard U level.

Lattice parameters (Å, degrees): 20.821 20.821 5.435 90.00 90.00 165.00
Fractional coordinates of all 42 atoms:
O: 0.219 0.781 0.000
O: 0.651 0.849 0.750
O: 0.845 0.155 0.500
O: 0.949 0.051 0.500
O: 0.666 0.334 0.000
O: 0.151 0.349 0.750
O: 0.051 0.949 0.500
O: 0.857 0.644 0.250
O: 0.151 0.349 0.250
O: 0.786 0.214 0.000
O: 0.166 0.834 0.500
O: 0.346 0.654 0.000
O: 0.449 0.551 0.000
O: 0.356 0.143 0.750
O: 0.754 0.745 0.750
O: 0.287 0.713 0.500
O: 0.857 0.644 0.750
O: 0.725 0.275 0.500
O: 0.551 0.449 0.000
O: 0.255 0.246 0.750
O: 0.754 0.745 0.250
O: 0.255 0.246 0.250
O: 0.651 0.849 0.250
O: 0.356 0.143 0.250
Sr: 0.146 0.854 0.000
Sr: 0.645 0.355 0.500
Sr: 0.846 0.154 0.000
Sr: 0.346 0.654 0.500
Fe: 0.997 0.003 0.500
Fe: 0.893 0.107 0.500
Fe: 0.598 0.402 0.000
Fe: 0.098 0.902 0.500
Fe: 0.393 0.607 0.000
Fe: 0.497 0.503 0.000
Bi: 0.439 0.561 0.500
Bi: 0.781 0.219 0.500
Bi: 0.042 0.958 0.000
Bi: 0.216 0.784 0.500
Bi: 0.939 0.061 0.000
Bi: 0.716 0.284 0.000
Bi: 0.542 0.458 0.500
Pb: 0.280 0.720 0.000

- symmetry = No. 38

Entry 6:
Below is a relaxed structure of TiFeBiPbO6, with properties calculated at the PBE with a Hubbard U level.

Lattice parameters (Å, degrees): 5.416 5.442 6.055 63.29 63.43 90.00
Fractional coordinates of all 10 atoms:
O: 0.911 0.910 0.669
O: 0.420 0.910 0.669
O: 0.931 0.431 0.139
O: 0.911 0.421 0.669
O: 0.420 0.421 0.669
O: 0.407 0.907 0.186
Pb: 0.991 0.991 0.017
Ti: 0.219 0.719 0.561
Fe: 0.733 0.233 0.533
Bi: 0.526 0.526 0.948

- symmetry = No. 44

Entry 7:
Below is a relaxed structure of Ti2Fe3Bi3Pb2O15, with properties calculated at the PBE with a Hubbard U level.

Lattice parameters (Å, degrees): 18.992 5.385 4.793 90.00 90.00 44.86
Fractional coordinates of all 25 atoms:
O: 0.699 0.002 0.680
O: 0.993 0.517 0.180
O: 0.898 0.513 0.678
O: 0.794 0.515 0.155
O: 0.302 0.004 0.678
O: 0.501 0.998 0.680
O: 0.100 0.500 0.648
O: 0.699 0.503 0.680
O: 0.100 0.000 0.648
O: 0.207 0.483 0.180
O: 0.600 0.500 0.150
O: 0.898 0.996 0.678
O: 0.406 0.485 0.155
O: 0.302 0.487 0.678
O: 0.501 0.497 0.680
Bi: 0.600 0.000 0.968
Bi: 0.405 0.989 0.957
Bi: 0.795 0.011 0.957
Fe: 0.600 0.500 0.534
Fe: 0.801 0.498 0.541
Fe: 0.399 0.502 0.541
Pb: 0.210 0.975 0.007
Pb: 0.990 0.025 0.007
Ti: 0.003 0.493 0.547
Ti: 0.197 0.507 0.547

- symmetry = No. 35

Entry 8:
Below is a relaxed structure of Ti4FeBiPb4O15, with properties calculated at the PBE with a Hubbard U level.

Lattice parameters (Å, degrees): 13.849 13.849 4.733 90.00 90.00 157.30
Fractional coordinates of all 25 atoms:
Fe: 0.500 0.500 0.525
O: 0.191 0.290 0.652
O: 0.290 0.191 0.652
O: 0.298 0.702 0.159
O: 0.702 0.298 0.159
O: 0.098 0.902 0.156
O: 0.401 0.101 0.630
O: 0.902 0.098 0.156
O: 0.000 0.500 0.644
O: 0.500 0.500 0.132
O: 0.599 0.899 0.630
O: 0.809 0.710 0.652
O: 0.500 0.000 0.644
O: 0.101 0.401 0.630
O: 0.710 0.809 0.652
O: 0.899 0.599 0.630
Ti: 0.898 0.102 0.527
Ti: 0.300 0.700 0.528
Ti: 0.700 0.300 0.528
Ti: 0.102 0.898 0.527
Pb: 0.799 0.201 0.975
Pb: 0.201 0.799 0.975
Pb: 0.405 0.595 0.988
Pb: 0.595 0.405 0.988
Bi: 0.000 0.000 0.926

- symmetry = No. 35

Entry 9:
Below is a relaxed structure of TiFe3Bi3PbO12, with properties calculated at the PBE with a Hubbard U level.

Lattice parameters (Å, degrees): 5.451 6.002 9.698 84.29 105.52 114.76
Fractional coordinates of all 20 atoms:
O: 0.909 0.528 0.843
O: 0.414 0.278 0.096
O: 0.380 0.503 0.377
O: 0.872 0.314 0.570
O: 0.390 0.997 0.331
O: 0.896 0.000 0.335
O: 0.876 0.775 0.078
O: 0.903 0.280 0.101
O: 0.909 0.785 0.598
O: 0.424 0.026 0.872
O: 0.410 0.518 0.840
O: 0.405 0.788 0.591
Pb: 0.015 0.147 0.879
Ti: 0.709 0.488 0.988
Bi: 0.046 0.663 0.399
Bi: 0.534 0.942 0.126
Bi: 0.555 0.441 0.625
Fe: 0.717 0.997 0.489
Fe: 0.214 0.232 0.250
Fe: 0.231 0.743 0.758

- symmetry = No. 1

Entry 10:
Below is a relaxed structure of Zr4FeBiPb4O15, with properties calculated at the PBE with a Hubbard U level.

Lattice parameters (Å, degrees): 15.523 15.523 5.943 79.24 79.24 141.61
Fractional coordinates of all 50 atoms:
Pb: 0.311 0.000 0.483
Pb: 0.204 0.105 0.986
Pb: 0.705 0.606 0.484
Pb: 0.000 0.311 0.983
Pb: 0.105 0.204 0.486
Pb: 0.606 0.705 0.984
Pb: 0.496 0.805 0.481
Pb: 0.805 0.496 0.981
Zr: 0.075 0.774 0.166
Zr: 0.375 0.476 0.671
Zr: 0.274 0.574 0.165
Zr: 0.774 0.075 0.666
Zr: 0.476 0.375 0.171
Zr: 0.574 0.274 0.665
Zr: 0.875 0.977 0.171
Zr: 0.977 0.875 0.671
O: 0.780 0.178 0.867
O: 0.569 0.374 0.379
O: 0.042 0.325 0.381
O: 0.452 0.930 0.354
O: 0.374 0.569 0.879
O: 0.215 0.635 0.366
O: 0.810 0.026 0.381
O: 0.635 0.215 0.866
O: 0.179 0.769 0.871
O: 0.930 0.452 0.854
O: 0.178 0.780 0.367
O: 0.723 0.644 0.877
O: 0.823 0.011 0.879
O: 0.366 0.575 0.378
O: 0.026 0.810 0.881
O: 0.411 0.426 0.376
O: 0.613 0.226 0.365
O: 0.849 0.518 0.387
O: 0.426 0.411 0.876
O: 0.644 0.723 0.377
O: 0.325 0.042 0.881
O: 0.973 0.967 0.877
O: 0.226 0.613 0.865
O: 0.769 0.179 0.371
O: 0.518 0.849 0.887
O: 0.575 0.366 0.878
O: 0.124 0.244 0.877
O: 0.011 0.823 0.379
O: 0.967 0.973 0.377
O: 0.244 0.124 0.377
Fe: 0.174 0.675 0.684
Fe: 0.675 0.174 0.184
Bi: 0.888 0.390 0.541
Bi: 0.390 0.888 0.041

- symmetry = No. 9

Computed calculated formation energy, in the same sequence as the records: -1617.1 -1485.9 -1765.0 -1862.7 -1769.1 -2179.4 -2071.6 -2505.4 -1910.0 -2601.4 meV/atom.